Record 1
The following is a r²SCAN calculation of an optimized crystal structure of Np2Se5, from the Materials Project database.

```
data_Np2Se5
_symmetry_space_group_name_H-M 'P b c n'
_symmetry_Int_Tables_number 60
_symmetry_space_group_name_Hall '-P 2n 2ab'
_cell_length_a 7.7809
_cell_length_b 10.7629
_cell_length_c 7.7952
_cell_angle_alpha 90.00
_cell_angle_beta 90.00
_cell_angle_gamma 90.00
loop_
_atom_site_label
_atom_site_fract_x
_atom_site_fract_y
_atom_site_fract_z
Np1 0.2478 0.1508 0.0009
Se1 0.0000 0.2466 0.2500
Se2 0.1202 0.1024 0.6281
Se3 0.1212 0.3969 0.8702
```

=====

Record 2
The following is a r²SCAN calculation of an optimized crystal structure of Li2Ti3O7, from the Materials Project database.

```
data_Li2Ti3O7
_symmetry_space_group_name_H-M 'P 1 21/m 1'
_symmetry_Int_Tables_number 11
_symmetry_space_group_name_Hall '-P 2yb'
_cell_length_a 7.5305
_cell_length_b 3.7364
_cell_length_c 9.3559
_cell_angle_alpha 90.00
_cell_angle_beta 97.49
_cell_angle_gamma 90.00
loop_
_atom_site_label
_atom_site_fract_x
_atom_site_fract_y
_atom_site_fract_z
Li1 0.0748 0.2500 0.0947
Li2 0.0997 0.7500 0.3257
Ti1 0.2339 0.2500 0.8414
Ti2 0.3347 0.2500 0.5320
Ti3 0.4481 0.2500 0.2216
O1 0.0075 0.2500 0.8755
O2 0.1447 0.2500 0.6280
O3 0.2424 0.2500 0.3356
O4 0.3034 0.7500 0.8349
O5 0.3209 0.2500 0.0501
O6 0.4057 0.7500 0.5485
O7 0.4922 0.2500 0.7423
```

=====

Record 3
The following is a r²SCAN calculation of an optimized crystal structure of V9InS12, from the Materials Project database.

```
data_V9InS12
_symmetry_space_group_name_H-M 'R -3'
_symmetry_Int_Tables_number 148
_symmetry_space_group_name_Hall '-R 3'
_cell_length_a 15.8835
_cell_length_b 15.8835
_cell_length_c 9.6604
_cell_angle_alpha 90.00
_cell_angle_beta 90.00
_cell_angle_gamma 120.00
loop_
_atom_site_label
_atom_site_fract_x
_atom_site_fract_y
_atom_site_fract_z
V1 0.0439 0.4662 0.0833
V2 0.0451 0.4664 0.4161
V3 0.0449 0.4665 0.7505
In1 0.0000 0.0000 0.0000
In2 0.0000 0.0000 0.5000
S1 0.9999 0.3334 0.2500
S2 0.0801 0.8672 0.5834
S3 0.0802 0.8671 0.9161
S4 0.0799 0.8681 0.2504
```

=====

Record 4
The following is a r²SCAN calculation of an optimized crystal structure of ZnP2, from the Materials Project database.

```
data_ZnP2
_symmetry_space_group_name_H-M 'P 1 21/c 1'
_symmetry_Int_Tables_number 14
_symmetry_space_group_name_Hall '-P 2ybc'
_cell_length_a 8.8076
_cell_length_b 7.2562
_cell_length_c 7.5272
_cell_angle_alpha 90.00
_cell_angle_beta 102.36
_cell_angle_gamma 90.00
loop_
_atom_site_label
_atom_site_fract_x
_atom_site_fract_y
_atom_site_fract_z
Zn1 0.0819 0.2468 0.3945
Zn2 0.3921 0.5948 0.2246
P1 0.0771 0.7438 0.8950
P2 0.2349 0.5194 0.4410
P3 0.2420 0.5159 0.9278
P4 0.3752 0.5735 0.7167
```

=====

Record 5
The following is a r²SCAN calculation of an optimized crystal structure of LuAl, from the Materials Project database.

```
data_LuAl
_symmetry_space_group_name_H-M 'P b c m'
_symmetry_Int_Tables_number 57
_symmetry_space_group_name_Hall '-P 2c 2b'
_cell_length_a 5.7179
_cell_length_b 11.1331
_cell_length_c 5.4925
_cell_angle_alpha 90.00
_cell_angle_beta 90.00
_cell_angle_gamma 90.00
loop_
_atom_site_label
_atom_site_fract_x
_atom_site_fract_y
_atom_site_fract_z
Lu1 0.1045 0.1693 0.2500
Lu2 0.3413 0.0174 0.7500
Al1 0.1566 0.5964 0.7500
Al2 0.4294 0.7500 0.0000
```

=====

Record 6
The following is a r²SCAN calculation of an optimized crystal structure of HoHfF7, from the Materials Project database.

```
data_HoHfF7
_symmetry_space_group_name_H-M 'P 1 21 1'
_symmetry_Int_Tables_number 4
_symmetry_space_group_name_Hall 'P 2yb'
_cell_length_a 5.9675
_cell_length_b 5.6518
_cell_length_c 8.1260
_cell_angle_alpha 90.00
_cell_angle_beta 102.70
_cell_angle_gamma 90.00
loop_
_atom_site_label
_atom_site_fract_x
_atom_site_fract_y
_atom_site_fract_z
Ho1 0.1550 0.0000 0.1866
Hf1 0.3124 0.9907 0.7254
F1 0.0421 0.3045 0.0227
F2 0.0471 0.2087 0.7105
F3 0.1169 0.7014 0.7151
F4 0.2576 0.9999 0.4762
F5 0.3663 0.9939 0.9758
F6 0.4291 0.2667 0.2692
F7 0.4523 0.7464 0.2593
```

=====

Record 7
The following is a r²SCAN calculation of an optimized crystal structure of Tb3Mg, from the Materials Project database.

```
data_Tb3Mg
_symmetry_space_group_name_H-M 'P 4/m m m'
_symmetry_Int_Tables_number 123
_symmetry_space_group_name_Hall '-P 4 2'
_cell_length_a 3.6180
_cell_length_b 3.6180
_cell_length_c 9.1672
_cell_angle_alpha 90.00
_cell_angle_beta 90.00
_cell_angle_gamma 90.00
loop_
_atom_site_label
_atom_site_fract_x
_atom_site_fract_y
_atom_site_fract_z
Tb1 0.0000 0.0000 0.0000
Tb2 0.5000 0.5000 0.2662
Mg1 0.0000 0.0000 0.5000
```

=====

Record 8
The following is a r²SCAN calculation of an optimized crystal structure of Th6CBr14, from the Materials Project database.

```
data_Th6CBr14
_symmetry_space_group_name_H-M 'C m c e'
_symmetry_Int_Tables_number 64
_symmetry_space_group_name_Hall '-C 2ac 2'
_cell_length_a 16.0022
_cell_length_b 14.3811
_cell_length_c 13.2244
_cell_angle_alpha 90.00
_cell_angle_beta 90.00
_cell_angle_gamma 90.00
loop_
_atom_site_label
_atom_site_fract_x
_atom_site_fract_y
_atom_site_fract_z
Th1 0.0000 0.1492 0.1068
Th2 0.1170 0.0710 0.8830
C1 0.0000 0.0000 0.0000
Br1 0.0000 0.1580 0.7335
Br2 0.1267 0.0893 0.2512
Br3 0.1271 0.2478 0.9906
Br4 0.2436 0.0000 0.5000
Br5 0.2500 0.1553 0.7500
```

=====

Record 9
The following is a r²SCAN calculation of an optimized crystal structure of TiBi2O5, from the Materials Project database.

## Properties
Polymorph energy (0 for the lowest one)   0.0173 eV per atom

```
data_TiBi2O5
_symmetry_space_group_name_H-M 'P n m a'
_symmetry_Int_Tables_number 62
_symmetry_space_group_name_Hall '-P 2ac 2n'
_cell_length_a 11.2322
_cell_length_b 3.9122
_cell_length_c 10.9873
_cell_angle_alpha 90.00
_cell_angle_beta 90.00
_cell_angle_gamma 90.00
loop_
_atom_site_label
_atom_site_fract_x
_atom_site_fract_y
_atom_site_fract_z
Ti1 0.2092 0.2500 0.1332
Bi1 0.0845 0.2500 0.7837
Bi2 0.1360 0.2500 0.4434
O1 0.0063 0.2500 0.6010
O2 0.0586 0.2500 0.1822
O3 0.1901 0.7500 0.7708
O4 0.2488 0.2500 0.6277
O5 0.2494 0.7500 0.4665
```

=====

Record 10
The following is a r²SCAN calculation of an optimized crystal structure of Sm3SbO7, from the Materials Project database.

```
data_Sm3SbO7
_symmetry_space_group_name_H-M 'C m c m'
_symmetry_Int_Tables_number 63
_symmetry_space_group_name_Hall '-C 2c 2'
_cell_length_a 7.5670
_cell_length_b 10.7348
_cell_length_c 7.6145
_cell_angle_alpha 90.00
_cell_angle_beta 90.00
_cell_angle_gamma 90.00
loop_
_atom_site_label
_atom_site_fract_x
_atom_site_fract_y
_atom_site_fract_z
Sm1 0.0000 0.0000 0.0000
Sm2 0.2340 0.2665 0.2500
Sb1 0.0000 0.5000 0.0000
O1 0.0000 0.1298 0.7500
O2 0.0000 0.1353 0.2500
O3 0.0000 0.4364 0.2500
O4 0.1925 0.3772 0.5289
```

=====

Record 11
The following is a r²SCAN calculation of an optimized crystal structure of Sm3CrS6, from the Materials Project database.

```
data_Sm3CrS6
_symmetry_space_group_name_H-M 'P n n m'
_symmetry_Int_Tables_number 58
_symmetry_space_group_name_Hall '-P 2 2n'
_cell_length_a 13.5328
_cell_length_b 16.1333
_cell_length_c 3.8450
_cell_angle_alpha 90.00
_cell_angle_beta 90.00
_cell_angle_gamma 90.00
loop_
_atom_site_label
_atom_site_fract_x
_atom_site_fract_y
_atom_site_fract_z
Sm1 0.0515 0.2192 0.0000
Sm2 0.1802 0.6480 0.0000
Sm3 0.2418 0.9030 0.5000
Cr1 0.0000 0.0000 0.5000
Cr2 0.0000 0.5000 0.5000
S1 0.0230 0.4038 0.0000
S2 0.0806 0.9268 0.0000
S3 0.1017 0.7541 0.5000
S4 0.1216 0.1045 0.5000
S5 0.1775 0.5199 0.5000
S6 0.1889 0.2896 0.5000
```

=====

Record 12
The following is a r²SCAN calculation of an optimized crystal structure of Y2ZnGa, from the Materials Project database.

```
data_Y2ZnGa
_symmetry_space_group_name_H-M 'F m -3 m'
_symmetry_Int_Tables_number 225
_symmetry_space_group_name_Hall '-F 4 2 3'
_cell_length_a 7.1226
_cell_length_b 7.1226
_cell_length_c 7.1226
_cell_angle_alpha 90.00
_cell_angle_beta 90.00
_cell_angle_gamma 90.00
loop_
_atom_site_label
_atom_site_fract_x
_atom_site_fract_y
_atom_site_fract_z
Y1 0.2500 0.2500 0.2500
Zn1 0.0000 0.0000 0.0000
Ga1 0.0000 0.0000 0.5000
```

=====

| no. | energy relative to the elements (eV per atom) | calculated density (g/cm³) |
| --- | --- | --- |
| 1 | -1.448 | 8.84 |
| 2 | -3.080 | 3.43 |
| 3 | -1.088 | 4.52 |
| 4 | -0.314 | 3.60 |
| 5 | -0.458 | 7.67 |
| 6 | -4.270 | 5.92 |
| 7 | -0.026 | 6.93 |
| 8 | -1.770 | 5.51 |
| 9 | -2.067 | 7.51 |
| 10 | -3.208 | 7.35 |
| 11 | -2.046 | 5.50 |
| 12 | -0.548 | 5.75 |